Density functional theory data (PBE-GGA) for CdIO after structural relaxation.

a = 6.8859 Å, b = 7.5480 Å, c = 10.3895 Å
α = 90.00°, β = 90.00°, γ = 90.00°
Fractional coordinates of all 24 atoms:
1 Cd 0.2066 0.3720 0.0081
2 Cd 0.2934 0.8720 0.9919
3 Cd 0.7066 0.6280 0.4919
4 Cd 0.7934 0.1280 0.5081
5 Cd 0.7934 0.6280 0.9919
6 Cd 0.7066 0.1280 0.0081
7 Cd 0.2934 0.3720 0.5081
8 Cd 0.2066 0.8720 0.4919
9 I 0.0623 0.1066 0.8082
10 I 0.4377 0.6066 0.1918
11 I 0.5623 0.8934 0.6918
12 I 0.9377 0.3934 0.3082
13 I 0.9377 0.8934 0.1918
14 I 0.5623 0.3934 0.8082
15 I 0.4377 0.1066 0.3082
16 I 0.0623 0.6066 0.6918
17 O 0.3883 0.1398 0.0783
18 O 0.1117 0.6398 0.9217
19 O 0.8883 0.8602 0.4217
20 O 0.6117 0.3602 0.5783
21 O 0.6117 0.8602 0.9217
22 O 0.8883 0.3602 0.0783
23 O 0.1117 0.1398 0.5783
24 O 0.3883 0.6398 0.4217

Properties
The space group is Pbca (61). The total magnetization comes out at 0.00 μB per cell. As for the energy of formation: -0.64 eV per atom.



Density functional theory data (PBE-GGA) for CdI2O7 after structural relaxation.

a = 7.0358 Å, b = 7.0992 Å, c = 7.9145 Å
α = 110.58°, β = 100.97°, γ = 62.70°
Fractional coordinates of all 20 atoms:
1 Cd 0.6648 0.7048 0.3770
2 Cd 0.3352 0.2952 0.6230
3 I 0.8299 0.6483 0.8372
4 I 0.1701 0.3517 0.1628
5 I 0.8162 0.1345 0.3549
6 I 0.1838 0.8655 0.6451
7 O 0.1227 0.4911 0.8796
8 O 0.8773 0.5089 0.1204
9 O 0.7710 0.9231 0.0025
10 O 0.2290 0.0769 0.9975
11 O 0.8699 0.7123 0.6430
12 O 0.1301 0.2877 0.3570
13 O 0.9051 0.2334 0.5929
14 O 0.0949 0.7666 0.4071
15 O 0.6084 0.3995 0.3253
16 O 0.3916 0.6005 0.6747
17 O 0.6190 0.0553 0.4039
18 O 0.3810 0.9447 0.5961
19 O 0.4009 0.7457 0.1305
20 O 0.5991 0.2543 0.8695

Properties
The space group is P-1 (2). The total magnetization comes out at 4.00 μB per cell. As for the energy of formation: -0.69 eV per atom.



Density functional theory data (PBE-GGA) for Cd3Pb2Se4I2O12 after structural relaxation.

a = 5.5147 Å, b = 11.3554 Å, c = 16.8954 Å
α = 60.85°, β = 90.00°, γ = 90.00°
Fractional coordinates of all 46 atoms:
1 Cd 0.6981 0.5000 0.2500
2 Cd 0.3019 0.5000 0.7500
3 Cd 0.7813 0.5040 0.9094
4 Cd 0.7813 0.4960 0.5906
5 Cd 0.2187 0.4960 0.0906
6 Cd 0.2187 0.5040 0.4094
7 Pb 0.2510 0.2038 0.0084
8 Pb 0.2510 0.7962 0.4916
9 Pb 0.7490 0.7962 0.9916
10 Pb 0.7490 0.2038 0.5084
11 Se 0.7421 0.2962 0.1309
12 Se 0.7421 0.7038 0.3691
13 Se 0.2579 0.7038 0.8691
14 Se 0.2579 0.2962 0.6309
15 Se 0.7445 0.2647 0.8483
16 Se 0.7445 0.7353 0.6517
17 Se 0.2555 0.7353 0.1517
18 Se 0.2555 0.2647 0.3483
19 I 0.7452 0.9912 0.1036
20 I 0.7452 0.0088 0.3964
21 I 0.2548 0.0088 0.8964
22 I 0.2548 0.9912 0.6036
23 O 0.8168 0.4277 0.1500
24 O 0.8168 0.5723 0.3500
25 O 0.1832 0.5723 0.8500
26 O 0.1832 0.4277 0.6500
27 O 0.9572 0.3416 0.0435
28 O 0.9572 0.6584 0.4565
29 O 0.0428 0.6584 0.9565
30 O 0.0428 0.3416 0.5435
31 O 0.4821 0.3528 0.0647
32 O 0.4821 0.6472 0.4353
33 O 0.5179 0.6472 0.9353
34 O 0.5179 0.3528 0.5647
35 O 0.5340 0.3457 0.8866
36 O 0.5340 0.6543 0.6133
37 O 0.4660 0.6543 0.1134
38 O 0.4660 0.3457 0.3866
39 O 0.0036 0.3422 0.8606
40 O 0.0036 0.6578 0.6394
41 O 0.9964 0.6578 0.1394
42 O 0.9964 0.3422 0.3606
43 O 0.6650 0.3499 0.7370
44 O 0.6650 0.6501 0.7630
45 O 0.3350 0.6501 0.2630
46 O 0.3350 0.3499 0.2370

Properties
The space group is P2/c (13). The total magnetization comes out at 0.00 μB per cell. As for the energy of formation: -1.33 eV per atom.



Density functional theory data (PBE-GGA) for CdSb6S8I4 after structural relaxation.

a = 7.5655 Å, b = 9.0971 Å, c = 9.1464 Å
α = 91.24°, β = 108.75°, γ = 95.50°
Fractional coordinates of all 19 atoms:
1 Cd 0.0000 0.0000 0.0000
2 Sb 0.2428 0.6441 0.1477
3 Sb 0.2377 0.9286 0.4351
4 Sb 0.7572 0.3559 0.8523
5 Sb 0.2079 0.2963 0.7797
6 Sb 0.7921 0.7037 0.2203
7 Sb 0.7623 0.0714 0.5649
8 S 0.6694 0.0762 0.8099
9 S 0.0845 0.3118 0.0127
10 S 0.9155 0.6882 0.9873
11 S 0.9124 0.9825 0.2750
12 S 0.1020 0.6442 0.3917
13 S 0.8980 0.3558 0.6083
14 S 0.3306 0.9238 0.1901
15 S 0.0876 0.0175 0.7250
16 I 0.3518 0.6685 0.8600
17 I 0.6457 0.7278 0.5410
18 I 0.6482 0.3315 0.1400
19 I 0.3543 0.2722 0.4590

Properties
The space group is P-1 (2). The total magnetization comes out at 0.00 μB per cell. As for the energy of formation: -0.62 eV per atom.